112
Lattice="-2.5485 7.4514 -6.2462 -9.1262 1.2709 4.5804 7.0662 14.2884 10.5143" Properties=species:S:1:pos:R:3 comment="SbTe7SXeClO9F36, optimized geometry, DFT PBE" e_form_ev_per_atom=-2.080 dft_energy_ev_per_cell=-478.6 energy_mp2020_ev_per_atom=-4.68 vol_a3_per_cell=1959.5 density_g_cm3=3.46 pbc="T T T"
F -5.5848 12.0153 3.3605
F -7.5880 13.7168 3.0204
F -0.7267 12.4201 10.4002
F -7.9864 6.2746 1.8372
F -0.8389 11.7020 2.3747
F -2.9186 20.6860 9.7935
F -4.1972 13.9060 4.6133
F 1.4693 17.4223 5.2938
F 1.6503 15.1624 8.2858
F -0.9917 9.9406 -2.6417
F -0.2297 15.8430 6.5448
F -0.9838 5.4694 3.5825
F -5.0969 2.5049 2.1624
F -6.2135 15.5947 4.2856
F -3.1583 4.9721 5.0095
F -9.4772 8.9532 0.7115
F -0.4114 9.1047 4.2353
F 0.9763 10.9953 5.4880
F -5.8106 8.3601 -2.4669
F -4.3788 7.1677 2.3038
F -7.6405 3.2055 2.4718
F -0.4192 11.3666 8.0401
F 0.0518 13.8515 1.0793
F -2.3583 19.6409 7.4224
F -3.6168 13.0701 11.4903
F -7.5644 10.5451 1.6397
F 0.2268 15.1387 13.6946
F 1.9875 9.7352 3.4620
F 2.0347 14.9482 5.7065
F -0.4623 4.4552 -0.0867
F -4.6603 9.1592 7.7693
F -3.8818 10.5906 -1.5517
F -4.8353 7.8720 -4.8460
F -1.4502 18.0385 3.8391
F -6.5960 13.2755 5.3866
F 3.3779 16.7361 7.0114
F 3.3246 19.4639 3.2589
F -1.6899 2.3247 -0.9449
F 2.9559 12.4655 7.2088
F 1.6050 7.4160 4.5629
F 1.2021 14.6506 11.3154
F 1.0287 13.2260 3.3779
F 3.0320 19.8052 6.3768
F -6.2588 7.8483 0.5627
F -1.3210 15.3556 11.6027
F -2.5938 10.8742 9.4940
F 0.5773 9.4667 0.4551
F -2.6800 5.7096 0.3186
F -4.1462 18.5555 8.9353
F 2.9795 9.2939 5.8281
F -2.0148 12.1365 -0.6454
F -6.0778 5.5883 3.5547
F -0.4518 15.3401 3.2066
F -1.9285 17.3011 8.5300
F -7.9282 10.2995 -0.9547
F -3.2900 9.8216 4.3442
F 0.4884 20.5058 6.6861
F -1.3185 13.1891 4.5044
F -3.6248 17.5413 5.2660
F -5.6372 9.7847 5.4706
F -2.2502 3.3698 1.4261
F 3.3197 12.7112 9.8032
F -2.1059 4.6981 -2.0661
F -2.5027 18.3126 10.9147
F -3.7696 11.3087 6.4739
F -5.1858 13.5440 8.3934
F 4.8686 14.0575 8.1370
F -6.6432 8.0625 3.1421
F -7.9332 3.5468 5.5897
F -4.1567 7.6706 5.6419
F -4.1893 11.6441 0.8085
F -3.2875 7.6551 -2.7542
O 0.3758 7.3976 1.6629
O -5.5965 5.1615 0.9925
O -4.2729 15.4521 9.5901
O 0.3389 17.0382 10.4386
O -5.2175 14.3524 2.0499
O -4.9474 5.9725 -1.5900
O -2.1238 9.2421 6.7166
O -4.0707 3.4452 -0.5881
O -5.8840 5.1647 6.5515
O 0.9880 17.8492 7.8561
O -0.5379 19.5654 9.4367
O 1.2755 17.8460 2.2970
O -0.3356 7.5586 -0.7415
O -3.3275 16.3012 2.9712
O 0.6089 8.6583 6.7986
O -1.2810 6.7094 5.8773
O -4.9844 15.6131 7.1857
O -2.4847 13.7686 2.1319
Xe -7.2740 6.6786 6.3798
Xe 2.6654 16.3321 2.4687
Te -3.8872 9.4809 6.0860
Te 4.4148 12.2745 8.3613
Te 1.2534 9.1870 5.0993
Te 1.5489 16.3662 6.8510
Te -5.8619 13.8236 3.7492
Te -0.7400 10.6659 9.7525
Te -6.1574 6.6445 1.9976
Te -2.3320 19.0198 9.1900
Te -3.8685 12.3448 -0.9040
Te -0.7213 13.5298 2.7625
Te -4.9335 6.9027 -3.2461
Te -2.2765 3.9909 -0.3414
Te 0.3250 16.1079 12.0947
Te -9.0233 10.7362 0.4872
Cl -1.9467 8.8214 1.2183
Cl -2.6619 14.1893 7.6302
S -0.2343 8.1240 0.5511
S -4.3742 14.8866 8.2975
Sb -5.8373 4.3612 -0.8329
Sb -1.0300 7.7796 7.5474

4
Lattice="0.0000 3.6885 3.6885 3.6885 0.0000 3.6885 3.6885 3.6885 0.0000" Properties=species:S:1:pos:R:3 comment="Ca3Os, optimized geometry, DFT PBE" e_form_ev_per_atom=0.416 dft_energy_ev_per_cell=-15.6 vol_a3_per_cell=100.4 density_g_cm3=5.14 pbc="T T T"
Ca 5.5328 5.5328 5.5328
Ca 3.6885 3.6885 3.6885
Ca 1.8443 1.8443 1.8443
Os 0.0000 0.0000 0.0000

16
Lattice="-4.2618 -2.5787 6.3240 -2.0921 6.3288 4.5139 -0.7635 -1.4169 -7.8877" Properties=species:S:1:pos:R:3 comment="TlReO2, optimized geometry, DFT PBE" e_form_ev_per_atom=-0.642 dft_energy_ev_per_cell=-103.6 energy_mp2020_ev_per_atom=-6.82 vol_a3_per_cell=286.2 density_g_cm3=9.81 pbc="T T T"
Tl -3.0966 2.6343 3.2208
Tl -3.4784 1.9259 -0.7231
Tl -5.2275 1.3450 6.3828
Tl -2.4324 -1.2386 -2.9800
O -1.3689 1.3757 0.8842
O -4.0834 0.1542 3.6807
O -2.1099 5.1144 2.7609
O -3.7372 -0.7073 -0.1438
O -3.2196 4.5590 -1.3023
O -5.3668 2.5249 1.7475
O -1.5900 1.3268 -3.1936
O -4.8244 3.8929 5.5573
Re -4.5633 -2.5279 0.1820
Re -4.1815 -1.8195 4.1258
Re -5.6093 0.6365 2.4390
Re -2.0506 -0.5301 0.9638

5
Lattice="0.9531 -0.0566 5.7922 -4.4611 0.6583 3.7585 1.3590 -3.1875 -4.7385" Properties=species:S:1:pos:R:3 comment="NdSi2Ir2, optimized geometry, DFT PBE" e_form_ev_per_atom=-1.063 dft_energy_ev_per_cell=-38.6 vol_a3_per_cell=86.5 density_g_cm3=11.22 pbc="T T T"
Ir -2.4280 -1.1142 1.8976
Ir 0.2790 -1.4716 2.9145
Nd 0.0000 0.0000 0.0000
Si -2.1899 0.3756 5.9621
Si -1.3181 0.2261 3.5886

36
Lattice="-2.8402 2.1678 -5.0165 -7.6921 -7.4980 1.1149 -5.3000 6.2873 5.7177" Properties=species:S:1:pos:R:3 comment="Sr3Ta2N4, optimized geometry, DFT PBE" e_form_ev_per_atom=-0.959 dft_energy_ev_per_cell=-277.3 energy_mp2020_ev_per_atom=-7.86 relative_energy_mev_per_atom=0 vol_a3_per_cell=666.2 density_g_cm3=6.79 pbc="T T T"
Sr -8.0999 0.3962 -0.9138
Sr -8.0034 -2.5180 -3.2527
Sr -2.6564 2.2501 -3.1946
Sr -5.1932 2.7856 -0.5020
Sr -7.7323 0.5609 2.7299
Sr -4.6173 2.7031 2.9169
Sr -4.7931 -0.7270 -2.2464
Sr -7.8289 3.4751 5.0689
Sr -10.6390 -1.8285 2.3181
Sr -5.4838 6.2050 3.8959
Sr -11.0392 1.6840 4.0626
Sr -11.2150 -1.7460 -1.1008
Ta -3.5583 -0.0658 1.1601
Ta -9.8744 2.5012 1.0005
Ta -5.9579 -1.5441 0.8156
Ta -1.9582 2.0227 0.0924
Ta -6.1820 6.4325 0.6088
Ta -7.6284 4.1617 1.5107
Ta -8.2038 -3.2046 0.3055
Ta -12.2739 1.0229 0.6561
N -7.7172 -5.1538 0.7363
N -13.0945 0.6245 2.4972
N -9.0966 3.1911 2.7287
N -5.5424 0.4238 0.9463
N -10.2777 -3.7130 0.4537
N -6.7357 -2.2340 -0.9126
N -8.3052 3.1005 -0.1134
N -11.7191 3.0770 0.4233
N -7.5271 -2.1435 1.9295
N -5.5546 4.6701 1.3624
N -8.1151 6.1109 1.0799
N -2.7377 0.3326 -0.6811
N -4.1132 -2.1199 1.3928
N -10.2899 0.5333 0.8699
N -2.3978 1.5260 1.9971
N -13.4345 -0.5689 -0.1810

4
Lattice="-0.9641 -0.7005 4.0680 -2.4684 2.7364 2.0948 -3.9464 -1.1056 1.0830" Properties=species:S:1:pos:R:3 comment="GaNiRh2, optimized geometry, DFT PBE" e_form_ev_per_atom=-0.341 dft_energy_ev_per_cell=-24.9 vol_a3_per_cell=53.9 density_g_cm3=10.30 pbc="T T T"
Ga -3.6894 0.4652 3.6229
Rh -1.8447 0.2326 1.8115
Rh -5.5341 0.6977 5.4344
Ni 0.0000 0.0000 0.0000

12
Lattice="5.3870 0.0000 0.0000 -1.9916 5.2752 0.0000 -1.9544 -2.4653 7.9787" Properties=species:S:1:pos:R:3 comment="MgSi, optimized geometry, DFT PBE" e_form_ev_per_atom=0.055 dft_energy_ev_per_cell=-41.9 energy_mp2020_ev_per_atom=-3.46 vol_a3_per_cell=226.7 density_g_cm3=2.30 pbc="T T T"
Mg 2.0575 1.5975 5.0971
Mg -0.9583 -1.3557 7.6531
Mg 1.1902 -1.5403 5.5181
Mg -0.6165 1.2124 2.8816
Mg 0.2508 4.3502 2.4606
Mg 2.3994 4.1656 0.3256
Si 3.7230 -0.8954 4.8999
Si -0.6339 1.0071 5.8424
Si -2.2819 3.7053 3.0789
Si 3.7276 1.6259 0.1955
Si -2.2866 1.1840 7.7832
Si 2.0749 1.8027 2.1363

18
Lattice="6.2621 -5.2305 1.8606 -2.7364 3.2158 7.2253 -6.1527 -4.0588 -3.9629" Properties=species:S:1:pos:R:3 comment="Tb12Co5Bi, optimized geometry, DFT PBE" e_form_ev_per_atom=-0.266 dft_energy_ev_per_cell=-99.8 vol_a3_per_cell=450.6 density_g_cm3=8.88 pbc="T T T"
Tb -5.4482 -2.6772 -1.6864
Tb -0.9818 -5.1824 1.2711
Tb -0.3260 -1.6449 7.2514
Tb -1.6452 -0.8911 3.8519
Tb 2.8212 -3.3964 6.8093
Tb -2.3010 -4.4286 -2.1284
Tb -3.3738 -3.8626 3.6595
Tb 0.7468 -2.2109 1.4634
Tb 3.6638 -3.7731 3.1920
Tb -2.5582 -1.9465 0.5611
Tb -0.0688 -4.1271 4.5619
Tb -6.2908 -2.3004 1.9310
Co -4.0501 -0.6469 2.6475
Co 0.0000 0.0000 0.0000
Co 1.4231 -5.4267 2.4754
Co 0.0683 -5.8005 -1.3127
Co 0.0411 -3.4888 -0.7896
Bi 1.7628 -1.0074 4.5429

52
Lattice="6.4649 4.2737 0.0000 -6.4649 4.2737 0.0000 0.0000 2.6132 12.6914" Properties=species:S:1:pos:R:3 comment="LiSi3BiO8, optimized geometry, DFT PBE" e_form_ev_per_atom=-2.803 dft_energy_ev_per_cell=-370.4 energy_mp2020_ev_per_atom=-7.55 relative_energy_mev_per_atom=11 vol_a3_per_cell=701.3 density_g_cm3=4.06 pbc="T T T"
Si 0.7206 9.8127 11.1303
Si 1.1059 5.7104 1.2500
Si -1.5265 6.9794 2.0927
Si -1.1059 7.0171 7.5957
Si -1.7003 2.9467 4.2899
Si 1.8415 2.7509 2.1748
Si 1.7003 4.2533 10.6356
Si -0.7206 8.5061 4.7846
Si -1.1144 5.4384 11.3722
Si 1.5265 8.2860 8.4384
Si -1.8415 4.0575 8.5205
Si 1.1144 4.1318 5.0266
O 1.6966 4.1521 1.2258
O 2.0375 6.6625 2.1816
O -0.9358 2.8533 8.0815
O -1.2888 7.6724 6.0917
O -1.6646 3.0677 2.6499
O 3.0763 4.7996 11.2909
O -4.9004 5.2410 7.3929
O 1.4756 5.6627 5.2526
O -1.4756 6.9693 11.5983
O -2.0375 7.9691 8.5273
O -1.7875 4.5979 10.0927
O 4.8884 5.6175 4.7007
O -3.0763 3.4930 4.9452
O 0.4769 5.1062 11.3020
O 0.4903 7.0631 8.0318
O 1.1130 8.8131 9.9051
O 0.9358 1.5467 1.7358
O 4.9004 3.9344 1.0472
O -4.8884 6.9241 11.0464
O -0.8723 10.0527 11.0718
O 0.8723 8.7460 4.7262
O 3.0505 7.6578 8.4734
O -0.4769 3.7996 4.9563
O 1.8575 3.4028 6.3447
O -1.1130 7.5065 3.5594
O 1.6646 4.3743 8.9956
O -3.0505 6.3512 2.1277
O -0.4903 5.7565 1.6861
O -1.8575 4.7094 12.6904
O -1.6966 5.4587 7.5715
O 1.2888 8.9790 12.4374
O 1.7875 3.2912 3.7470
Bi -2.9775 3.7500 1.0664
Bi -3.8544 5.4821 5.5056
Bi 3.8544 6.7887 11.8513
Bi 2.9775 5.0567 7.4120
Li 0.8583 2.7541 7.9117
Li 1.7850 7.0421 4.1050
Li -0.8583 1.4475 1.5661
Li -1.7850 8.3488 10.4506

4
Lattice="-1.8937 1.8937 4.0594 1.8937 -1.8937 4.0594 1.8937 1.8937 -4.0594" Properties=species:S:1:pos:R:3 comment="Zn3Pt, optimized geometry, DFT PBE" e_form_ev_per_atom=-0.400 dft_energy_ev_per_cell=-11.4 vol_a3_per_cell=58.2 density_g_cm3=11.16 pbc="T T T"
Zn 0.0000 0.0000 4.0594
Zn 1.8937 0.0000 2.0297
Zn 0.0000 1.8937 2.0297
Pt 0.0000 0.0000 0.0000

14
Lattice="0.0000 0.0000 4.8038 -4.3067 4.2750 2.4019 -4.3067 -4.2750 -2.4019" Properties=species:S:1:pos:R:3 comment="DyTiFe11N, optimized geometry, DFT PBE" e_form_ev_per_atom=-0.205 dft_energy_ev_per_cell=-116.5 energy_mp2020_ev_per_atom=-8.35 vol_a3_per_cell=176.9 density_g_cm3=7.87 pbc="T T T"
Fe -4.3067 -2.3696 0.0000
Fe -6.4416 2.1328 1.2030
Fe -2.1717 2.1328 1.2030
Fe -6.6949 0.0230 2.4019
Fe -4.3067 1.2188 2.4019
Fe -3.0962 0.0008 4.8038
Fe -4.3067 2.3415 4.8038
Fe -5.5171 0.0008 4.8038
Fe -1.9184 0.0230 2.4019
Fe -2.1717 2.1328 3.6009
Fe -6.4416 2.1328 3.6009
N -4.3067 4.2631 4.8038
Ti -4.3067 -1.1480 2.4019
Dy -4.3067 4.2155 2.4019

4
Lattice="-3.3815 -3.3815 0.0000 -3.3815 0.0000 -3.3815 0.0000 -3.3815 -3.3815" Properties=species:S:1:pos:R:3 comment="ErSnPd2, optimized geometry, DFT PBE" e_form_ev_per_atom=-0.892 dft_energy_ev_per_cell=-22.5 vol_a3_per_cell=77.3 density_g_cm3=10.71 pbc="T T T"
Pd -1.6908 -1.6908 -1.6908
Pd -5.0723 -5.0723 -5.0723
Sn 0.0000 0.0000 0.0000
Er -3.3815 -3.3815 -3.3815

58
Lattice="3.9841 -6.9006 0.0000 3.9841 6.9006 0.0000 0.0000 0.0000 9.6660" Properties=species:S:1:pos:R:3 comment="Mg7Si2H6O14, optimized geometry, DFT PBE" e_form_ev_per_atom=-2.594 dft_energy_ev_per_cell=-354.6 energy_mp2020_ev_per_atom=-6.44 vol_a3_per_cell=531.5 density_g_cm3=2.85 pbc="T T T"
O 2.2823 -2.6147 4.6753
O 3.9841 2.3002 4.8315
O 4.5626 -0.6692 4.6753
O 5.1828 1.2085 2.3068
O 2.9821 -1.1016 2.2469
O 3.4470 -3.7673 2.2469
O 4.5211 3.7673 7.0799
O 5.5289 -1.8079 7.1398
O 7.0612 1.1895 4.6092
O 5.1073 -3.6168 4.6753
O 3.4055 0.6692 9.5083
O 3.9841 -2.3002 9.6645
O 2.4393 1.8079 2.3068
O 4.3301 3.8842 2.3068
O 0.9070 -1.1895 9.4422
O 3.4074 5.5204 4.6092
O 5.5231 -2.0318 2.2469
O 2.4450 2.0318 7.0799
O 0.0000 0.0000 2.2470
O 1.4836 0.1907 4.6092
O 5.6859 2.6147 9.5083
O 6.4845 -0.1907 9.4422
O 0.0000 0.0000 7.0800
O 2.7853 -1.2085 7.1398
O 4.5607 -5.5204 9.4422
O 2.8608 3.6168 9.5083
O 3.6380 -3.8842 7.1398
O 4.9861 1.1016 7.0799
Mg 3.9841 -2.3002 5.8191
Mg 4.6925 -0.5758 8.5799
Mg 1.0454 -1.5573 5.9245
Mg 3.2756 0.5758 3.7469
Mg 4.8101 -5.2166 5.9245
Mg 5.8317 2.5489 3.7469
Mg 1.8714 0.1266 1.0915
Mg 6.9228 1.5573 1.0915
Mg 5.1232 -3.7759 8.5799
Mg 6.0968 -0.1266 5.9245
Mg 3.9841 2.3002 0.9861
Mg 3.1581 5.2166 1.0915
Mg 2.1365 -2.5489 8.5799
Mg 2.8449 3.7759 3.7469
H 3.4715 3.7489 8.7464
H 2.8375 -4.4420 7.1423
H 5.4949 2.0198 8.7464
H 2.9858 1.1320 8.7464
H 5.2657 0.2364 2.3093
H 5.1306 4.4420 2.3093
H 1.5559 2.2222 2.3093
H 2.7025 -0.2364 7.1423
H 2.4732 -2.0198 3.9135
H 4.9824 -1.1320 3.9135
H 4.4966 -3.7489 3.9135
H 6.4122 -2.2222 7.1423
Si 0.0000 0.0000 8.7149
Si 3.9841 2.3002 6.5143
Si 0.0000 0.0000 3.8819
Si 3.9841 -2.3002 1.6813